DFT (PBE) results for an optimized crystal structure of Sm2NiIr.

a b c (Å): 4.9066 4.9066 4.9066
angles (deg): 60.00 60.00 60.00
Closest atoms and distances in Å follow each position.
Positions (direct):
1 Sm 0.2500 0.2500 0.2500  4 Ir 3.00, 4 Ni 3.00
2 Sm 0.7500 0.7500 0.7500  4 Ni 3.00, 4 Ir 3.00
3 Ni 0.0000 0.0000 0.0000  8 Sm 3.00
4 Ir 0.5000 0.5000 0.5000  8 Sm 3.00

Output
As for the total moment: 0.003 μB/atom. As for the space-group type: Fm-3m (225). The calculation puts the total energy at -26.1 eV for the cell shown. The value obtained for the formation energy from the elements is -517 meV/atom.